No. 1
# CaSnGe2O6

Crystalline CaSnGe2O6 at its relaxed geometry (GGA-PBE, the Materials Project database).

Lattice parameters (Å, degrees): 7.373 7.373 5.612 80.64 80.64 85.20
Fractional positions:
O1 0.997 0.268 0.843
O2 0.319 0.378 0.025
O3 0.268 0.997 0.343
O4 0.381 0.842 0.862
O5 0.619 0.158 0.138
O6 0.158 0.619 0.638
O7 0.378 0.319 0.525
O8 0.732 0.003 0.657
O9 0.681 0.622 0.975
O10 0.622 0.681 0.475
O11 0.003 0.732 0.157
O12 0.842 0.381 0.362
Ge1 0.390 0.194 0.267
Ge2 0.806 0.610 0.233
Ge3 0.194 0.390 0.767
Ge4 0.610 0.806 0.733
Ca1 0.688 0.312 0.750
Ca2 0.312 0.688 0.250
Sn1 0.109 0.891 0.750
Sn2 0.891 0.109 0.250

## Properties
The total energy after the MP2020 corrections is -0.4973 Ry/atom. The value obtained for the relative energy among the computed polymorphs is 3 meV per atom.


No. 2
# Cs3Nb6SBr17

Crystalline Cs3Nb6SBr17 at its relaxed geometry (GGA-PBE, the Materials Project database).

Lattice parameters (Å, degrees): 13.213 13.213 9.719 89.76 89.76 95.89
Fractional positions:
Br1 0.120 0.880 0.750
Br2 0.350 0.901 0.980
Br3 0.099 0.650 0.520
Br4 0.901 0.350 0.480
Br5 0.989 0.130 0.614
Br6 0.880 0.120 0.250
Br7 0.435 0.307 0.558
Br8 0.800 0.359 0.117
Br9 0.969 0.742 0.023
Br10 0.508 0.065 0.681
Br11 0.935 0.492 0.819
Br12 0.438 0.690 0.108
Br13 0.628 0.857 0.826
Br14 0.742 0.969 0.523
Br15 0.011 0.870 0.386
Br16 0.650 0.099 0.020
Br17 0.258 0.031 0.477
Br18 0.200 0.641 0.883
Br19 0.307 0.435 0.058
Br20 0.065 0.508 0.181
Br21 0.031 0.258 0.977
Br22 0.310 0.562 0.392
Br23 0.492 0.935 0.319
Br24 0.130 0.989 0.114
Br25 0.870 0.011 0.886
Br26 0.565 0.693 0.442
Br27 0.641 0.200 0.383
Br28 0.690 0.438 0.608
Br29 0.693 0.565 0.942
Br30 0.372 0.143 0.174
Br31 0.857 0.628 0.326
Br32 0.143 0.372 0.674
Br33 0.359 0.800 0.617
Br34 0.562 0.310 0.892
Cs1 0.169 0.274 0.337
Cs2 0.453 0.547 0.750
Cs3 0.274 0.169 0.837
Cs4 0.547 0.453 0.250
Cs5 0.831 0.726 0.663
Cs6 0.726 0.831 0.163
Nb1 0.761 0.383 0.857
Nb2 0.803 0.164 0.522
Nb3 0.836 0.197 0.978
Nb4 0.617 0.239 0.643
Nb5 0.164 0.803 0.022
Nb6 0.383 0.761 0.357
Nb7 0.197 0.836 0.478
Nb8 0.304 0.947 0.241
Nb9 0.053 0.696 0.259
Nb10 0.947 0.304 0.741
Nb11 0.239 0.617 0.143
Nb12 0.696 0.053 0.759
S1 0.777 0.223 0.750
S2 0.223 0.777 0.250

## Properties
The total energy after the MP2020 corrections is -0.3712 Ry/atom.


No. 3
# TmCu3Te3

Crystalline TmCu3Te3 at its relaxed geometry (GGA-PBE, the Materials Project database).

Lattice parameters (Å, degrees): 6.906 7.598 12.726 90.00 90.00 90.00
Fractional positions:
Te1 0.477 0.933 0.334
Te2 0.997 0.552 0.000
Te3 0.005 0.564 0.338
Te4 0.977 0.067 0.166
Te5 0.477 0.933 0.666
Te6 0.977 0.067 0.834
Te7 0.505 0.436 0.162
Te8 0.490 0.940 0.000
Te9 0.497 0.448 0.500
Te10 0.505 0.436 0.838
Te11 0.990 0.060 0.500
Te12 0.005 0.564 0.662
Cu1 0.624 0.620 0.678
Cu2 0.373 0.117 0.500
Cu3 0.871 0.881 0.333
Cu4 0.124 0.380 0.822
Cu5 0.623 0.617 0.000
Cu6 0.123 0.383 0.500
Cu7 0.873 0.883 0.000
Cu8 0.371 0.119 0.833
Cu9 0.871 0.881 0.667
Cu10 0.371 0.119 0.167
Cu11 0.124 0.380 0.178
Cu12 0.624 0.620 0.322
Tm1 0.235 0.752 0.163
Tm2 0.235 0.752 0.837
Tm3 0.735 0.248 0.663
Tm4 0.735 0.248 0.337

## Properties
The total energy after the MP2020 corrections is -0.3268 Ry/atom. Its largest piezoelectric modulus is 0.062 C/m². The value obtained for the relative energy among the computed polymorphs is 6 meV per atom.


No. 4
# MgSi2

Crystalline MgSi2 at its relaxed geometry (GGA-PBE, the Materials Project database).

Lattice parameters (Å, degrees): 5.638 5.638 11.137 73.81 73.81 39.42
Fractional positions:
Si1 0.816 0.816 0.453
Si2 0.233 0.233 0.932
Si3 0.085 0.085 0.782
Si4 0.555 0.555 0.231
Si5 0.445 0.445 0.769
Si6 0.184 0.184 0.547
Si7 0.915 0.915 0.218
Si8 0.767 0.767 0.068
Mg1 0.212 0.212 0.294
Mg2 0.500 0.500 0.500
Mg3 0.500 0.500 0.000
Mg4 0.788 0.788 0.706

## Properties
The total energy after the MP2020 corrections is -0.2932 Ry/atom. The value obtained for the relative energy among the computed polymorphs is 84 meV per atom.


No. 5
# Te6Mo3WS2

Crystalline Te6Mo3WS2 at its relaxed geometry (GGA-PBE, the Materials Project database).

Lattice parameters (Å, degrees): 3.458 3.458 39.028 90.00 90.00 120.00
Fractional positions:
S1 0.667 0.333 0.056
S2 0.667 0.333 0.132
Mo1 0.333 0.667 0.094
Mo2 0.333 0.667 0.470
Mo3 0.667 0.333 0.282
Te1 0.667 0.333 0.517
Te2 0.333 0.667 0.234
Te3 0.667 0.333 0.422
Te4 0.333 0.667 0.610
Te5 0.333 0.667 0.705
Te6 0.333 0.667 0.329
W1 0.667 0.333 0.658

## Properties
The total energy after the MP2020 corrections is -0.4741 Ry/atom. The value obtained for the relative energy among the computed polymorphs is 34 meV per atom.


No. 6
# VFeCoSi

Crystalline VFeCoSi at its relaxed geometry (GGA-PBE, the Materials Project database).

Lattice parameters (Å, degrees): 3.996 3.996 3.996 60.00 60.00 60.00
Fractional positions:
Co1 0.750 0.750 0.750
Fe1 0.250 0.250 0.250
Si1 0.000 0.000 0.000
V1 0.500 0.500 0.500

## Properties
The total energy after the MP2020 corrections is -0.5862 Ry/atom.


No. 7
# PaAs2

Crystalline PaAs2 at its relaxed geometry (GGA-PBE, the Materials Project database).

Lattice parameters (Å, degrees): 4.018 4.018 8.172 90.00 90.00 90.00
Fractional positions:
As1 0.000 0.000 0.000
As2 0.500 0.000 0.359
As3 0.500 0.500 0.000
As4 0.000 0.500 0.641
Pa1 0.500 0.000 0.719
Pa2 0.000 0.500 0.281


No. 8
# ZrFe4P2

Crystalline ZrFe4P2 at its relaxed geometry (GGA-PBE, the Materials Project database).

Lattice parameters (Å, degrees): 6.887 6.887 3.635 90.00 90.00 90.00
Fractional positions:
Zr1 0.500 0.500 0.000
Zr2 0.000 0.000 0.500
P1 0.217 0.783 0.000
P2 0.717 0.717 0.500
P3 0.783 0.217 0.000
P4 0.283 0.283 0.500
Fe1 0.913 0.658 0.000
Fe2 0.087 0.342 0.000
Fe3 0.658 0.913 0.000
Fe4 0.413 0.842 0.500
Fe5 0.842 0.413 0.500
Fe6 0.342 0.087 0.000
Fe7 0.587 0.158 0.500
Fe8 0.158 0.587 0.500


no.,energy of formation (eV per atom)
1,-2.271
2,-1.522
3,-0.703
4,0.162
5,-0.398
6,-0.454
7,-0.922
8,-0.699